No. 1
Pu2SbAu | the Materials Project | PBE-GGA | relaxed; total energy = -9.533 eV per atom
1.0
0.0000 3.7134 3.7134
3.7134 0.0000 3.7134
3.7134 3.7134 0.0000
Pu Au Sb
2 1 1
direct
0.7500 0.7500 0.7500
0.2500 0.2500 0.2500
0.5000 0.5000 0.5000
0.0000 0.0000 0.0000

No. 2
PuSi2Au2 | the Materials Project | PBE-GGA | relaxed; total energy = -6.338 eV per atom
1.0
4.5381 -3.4558 1.8316
-0.4821 -2.9166 5.2108
-3.2544 0.8110 -4.9641
Si Pu Au
2 1 2
direct
0.3882 0.3882 0.0000
0.6118 0.6118 0.0000
0.0000 0.0000 0.0000
0.2500 0.7500 0.5000
0.7500 0.2500 0.5000

No. 3
Rb3Au7 | the Materials Project | PBE-GGA | relaxed; total energy = -2.862 eV per atom
1.0
-3.3746 5.8918 -3.0775
1.3191 -7.0297 -2.1010
-6.3774 -2.0906 2.9907
Rb Au
3 7
direct
0.5000 0.5000 0.0000
0.3395 0.6605 0.5000
0.6605 0.3395 0.5000
0.1072 0.8928 0.1951
0.5000 0.0000 0.0000
0.1072 0.8928 0.8049
0.0000 0.5000 0.0000
0.8928 0.1072 0.1951
0.0000 0.0000 0.5000
0.8928 0.1072 0.8049

No. 4
RbAu | the Materials Project | PBE-GGA | relaxed; total energy = -2.401 eV per atom
1.0
4.2020 0.0000 0.0000
0.0000 4.2020 0.0000
0.0000 0.0000 4.2020
Au Rb
1 1
direct
0.0000 0.0000 0.0000
0.5000 0.5000 0.5000

No. 5
Rb2SbAuS4 | the Materials Project | PBE-GGA | relaxed; total energy = -3.889 eV per atom
1.0
7.0309 0.0000 0.0000
0.0000 7.4009 0.0000
0.0000 0.0000 20.5156
Rb Sb S Au
8 4 16 4
direct
0.9003 0.2500 0.3291
0.2959 0.2500 0.5121
0.7041 0.2500 0.0121
0.0997 0.2500 0.8291
0.7041 0.7500 0.4879
0.2959 0.7500 0.9879
0.9003 0.7500 0.1709
0.0997 0.7500 0.6709
0.2079 0.7500 0.3890
0.2079 0.2500 0.1110
0.7921 0.7500 0.8890
0.7921 0.2500 0.6110
0.7981 0.2500 0.4969
0.6112 0.9832 0.6375
0.7981 0.7500 0.0031
0.9102 0.7500 0.3391
0.6112 0.0168 0.8625
0.2019 0.2500 0.9969
0.6112 0.5168 0.6375
0.2019 0.7500 0.5031
0.3888 0.5168 0.1375
0.3888 0.9832 0.1375
0.6112 0.4832 0.8625
0.0898 0.7500 0.8391
0.0898 0.2500 0.6609
0.3888 0.0168 0.3625
0.9102 0.2500 0.1609
0.3888 0.4832 0.3625
0.6097 0.0000 0.7500
0.3903 0.0000 0.2500
0.3903 0.5000 0.2500
0.6097 0.5000 0.7500

No. 6
Rb3Sb2Au3 | the Materials Project | PBE-GGA | relaxed; total energy = -3.090 eV per atom
1.0
7.5919 -3.3289 0.0000
7.5919 3.3289 0.0000
6.1322 0.0000 5.5780
Au Sb Rb
3 2 3
direct
0.0000 0.5000 0.5000
0.5000 0.0000 0.5000
0.5000 0.5000 0.0000
0.2477 0.2477 0.2477
0.7523 0.7523 0.7523
0.0818 0.0818 0.0818
0.5000 0.5000 0.5000
0.9182 0.9182 0.9182

No. 7
RbAuSe | the Materials Project | PBE-GGA | relaxed; total energy = -3.333 eV per atom
1.0
3.4765 -4.2275 0.0000
3.4765 4.2275 0.0000
0.0000 0.0000 7.2681
Se Rb Au
2 2 2
direct
0.1961 0.8039 0.2500
0.8039 0.1961 0.7500
0.6361 0.3639 0.2500
0.3639 0.6361 0.7500
0.0000 0.0000 0.0000
0.0000 0.0000 0.5000

No. 8
RbUAuSe3 | the Materials Project | PBE-GGA | relaxed; total energy = -5.337 eV per atom
1.0
2.1106 -7.7528 0.0000
2.1106 7.7528 0.0000
0.0000 0.0000 10.7709
Se U Rb Au
6 2 2 2
direct
0.3766 0.6234 0.9587
0.6234 0.3766 0.4587
0.0652 0.9348 0.7500
0.9348 0.0652 0.2500
0.3766 0.6234 0.5413
0.6234 0.3766 0.0413
0.0000 0.0000 0.5000
0.0000 0.0000 0.0000
0.7495 0.2505 0.7500
0.2505 0.7495 0.2500
0.5429 0.4571 0.2500
0.4571 0.5429 0.7500

No. 9
Rb4Sn2Au7 | the Materials Project | PBE-GGA | relaxed; total energy = -3.036 eV per atom
1.0
10.1376 -3.4703 0.0000
10.1376 3.4703 0.0000
8.9496 0.0000 5.8921
Rb Au Sn
4 7 2
direct
0.3155 0.3155 0.3155
0.6845 0.6845 0.6845
0.8124 0.8124 0.8124
0.1876 0.1876 0.1876
0.0000 0.0000 0.0000
0.8053 0.2129 0.2129
0.7871 0.1947 0.7871
0.1947 0.7871 0.7871
0.2129 0.8053 0.2129
0.7871 0.7871 0.1947
0.2129 0.2129 0.8053
0.4504 0.4504 0.4504
0.5496 0.5496 0.5496

No. 10
Rb3Sn4Au | the Materials Project | PBE-GGA | relaxed; E above lowest polymorph = 0.115 eV/atom
1.0
6.6869 0.0000 0.0000
0.0000 7.3205 0.0000
0.0000 0.0000 14.8180
Sn Rb Au
8 6 2
direct
0.6297 0.0000 0.3944
0.9359 0.2113 0.5000
0.9359 0.7887 0.5000
0.0641 0.2887 0.0000
0.0641 0.7113 0.0000
0.3703 0.5000 0.1056
0.3703 0.5000 0.8944
0.6297 0.0000 0.6056
0.9326 0.0000 0.1961
0.0674 0.5000 0.3039
0.5128 0.0000 0.0000
0.4872 0.5000 0.5000
0.0674 0.5000 0.6961
0.9326 0.0000 0.8039
0.7158 0.5000 0.0000
0.2842 0.0000 0.5000

No. 11
RbSn4Au4 | the Materials Project | PBE-GGA | relaxed; total energy = -3.224 eV per atom
1.0
-6.4809 -4.8634 0.0000
-6.4809 4.8634 0.0000
6.4809 0.0000 -19.6706
Au Sn Rb
16 16 4
direct
0.5481 0.6247 0.3930
0.8641 0.6296 0.6395
0.4051 0.9817 0.1070
0.8796 0.6141 0.1395
0.2599 0.5254 0.1395
0.7754 0.0099 0.6395
0.2317 0.1551 0.6070
0.0183 0.5949 0.8930
0.9901 0.2246 0.3605
0.8449 0.7683 0.3930
0.4746 0.7401 0.8605
0.7019 0.1253 0.1070
0.3859 0.1204 0.8605
0.8747 0.2981 0.8930
0.3704 0.1359 0.3605
0.3753 0.4519 0.6070
0.2880 0.2317 0.7420
0.2204 0.5265 0.0087
0.4540 0.5104 0.7420
0.7683 0.7120 0.2580
0.7765 0.9704 0.5087
0.4617 0.2679 0.4913
0.7604 0.2040 0.2420
0.0296 0.2235 0.4913
0.9620 0.5183 0.7580
0.5179 0.2117 0.9913
0.7960 0.2396 0.7580
0.4735 0.7796 0.9913
0.7883 0.4821 0.0087
0.4896 0.5460 0.2580
0.4817 0.0380 0.2420
0.7321 0.5383 0.5087
0.1250 0.3750 0.2500
0.1250 0.8750 0.7500
0.6250 0.8750 0.7500
0.1250 0.8750 0.2500

No. 12
Rb3Sn4Au | the Materials Project | PBE-GGA | relaxed; E above lowest polymorph = 0.000 eV/atom
1.0
-3.5131 5.4034 -1.9693
-5.0243 -4.2782 -2.7758
-6.5558 0.0400 11.8048
Rb Sn Au
6 8 2
direct
0.5485 0.0000 0.0000
0.8231 0.5000 0.2542
0.8231 0.5000 0.7458
0.1769 0.0000 0.7542
0.1769 0.0000 0.2458
0.4515 0.5000 0.5000
0.0325 0.2771 0.0000
0.6763 0.0000 0.3841
0.3237 0.5000 0.8841
0.3237 0.5000 0.1159
0.9675 0.2229 0.5000
0.0325 0.7229 0.0000
0.6763 0.0000 0.6159
0.9675 0.7771 0.5000
0.3211 0.0000 0.5000
0.6789 0.5000 0.0000